SrMg6Sb | Materials Project | PBE-GGA | optimized geometry; electronic total energy = -32.11 eV/cell; total moment = 0.00 μB per formula unit; energy relative to the lowest polymorph listed for this composition = 0.00 eV per formula unit; energy of formation = -0.8 eV/f.u.; calculated volume = 26.169 Å³/atom
1.0
-4.2771 3.3309 0.3093
-0.4053 0.0772 -6.4377
-7.3257 -9.4391 0.3480
Mg Sr Sb
12 2 2
Cartesian
-4.3159 -5.4161 -1.3551
-9.1726 -6.9492 -4.3437
-0.8557 -0.6580 -4.7480
-6.1217 -7.8878 0.2908
-4.5254 -5.3762 -4.6818
-2.6616 -3.1296 -3.1021
-5.5111 -2.2295 -4.5382
-0.6598 -0.6953 -1.6370
-6.3789 -7.9194 -2.9255
-2.5134 -3.2385 0.1194
-8.9713 -6.9876 -1.1453
-5.3071 -2.2683 -1.2988
-3.3898 0.0533 0.2141
-7.2553 -4.6277 -2.8308
-6.9832 -4.5768 0.3848
-3.5230 0.1813 -3.0081

=====

SrTiGeO5 | Materials Project | PBE-GGA | optimized geometry; electronic total energy = -239.48 eV/cell; symmetry = No. 14; total moment = 0.00 μB per formula unit; energy of formation = -24.4 eV/f.u.; calculated volume = 13.266 Å³/atom
1.0
6.8962 0.0000 0.0000
0.0000 9.1669 0.0000
-2.9849 0.0000 6.7153
Sr Ti Ge O
4 4 4 20
Cartesian
1.0004 0.7184 1.6285
-0.4920 3.8650 4.9862
4.4034 5.3018 1.7291
2.9110 8.4485 5.0868
-1.1954 6.8373 6.6193
0.2970 6.9130 3.2617
3.6144 2.2539 3.4536
5.1068 2.3296 0.0960
-0.5214 0.5828 5.0122
0.9711 4.0006 1.6546
2.9403 5.1663 5.0607
4.4327 8.5840 1.7031
-1.3994 1.6862 3.9239
0.0930 2.8972 0.5663
-0.1174 5.0047 2.6466
-1.6098 8.7456 6.0042
-0.4853 6.3406 5.0497
1.0071 7.4097 1.6921
2.0955 4.9707 0.6767
0.6031 8.7796 4.0343
0.3170 1.6985 6.1222
1.8094 2.8849 2.7646
2.1020 6.2820 3.9507
3.5944 7.4683 0.5931
3.3083 0.3872 2.6810
1.8159 4.1962 6.0386
2.9043 1.7571 5.0232
4.3967 2.8263 1.6656
5.5212 0.4212 0.7111
4.0288 4.1622 4.0687
3.8184 6.2697 6.1490
5.3108 7.4806 2.7914

=====

- What is the calculated volume in the first record?
  26.169 Å³/atom

=====

- Among the records above, which one has the highest electronic total energy?
  SrMg6Sb

=====

- What is the formula in the first record?
  SrMg6Sb